Material: EuNi2P2
Method: DFT, PBE
State: optimized geometry

Cell: 3.941 3.941 9.533 Å, 90.00 90.00 90.00°
Space group I4/mmm (No. 139)
Unique sites:
Eu  0.000  0.000  0.000 x2
Ni  0.000  0.500  0.250 x4
P  0.000  0.000  0.374 x4

## Properties
DFT formation energy ... -0.89 eV per atom
Raw total energy ... -7.419 eV/atom